Ca2SiB5H5O14, optimized geometry, DFT PBE-GGA; total DFT energy (no corrections) = -759.66 eV/cell; symmetry = P2_1/c, No. 14; mass density = 2533 kg/m³; volume = 9.50 Å³/atom
1.0
12.9075 0.0000 0.0000
0.0000 9.5178 0.0000
-2.2198 0.0000 8.3529
Ca Si B H O
8 4 20 20 56
direct
0.0876 0.1777 0.4745 Ca
0.0876 0.3223 0.9745 Ca
0.3811 0.6843 0.3496 Ca
0.3811 0.8157 0.8496 Ca
0.6189 0.1843 0.1504 Ca
0.6189 0.3157 0.6504 Ca
0.9124 0.6777 0.0255 Ca
0.9124 0.8223 0.5255 Ca
0.3587 0.0559 0.4887 Si
0.3587 0.4441 0.9887 Si
0.6413 0.5559 0.0113 Si
0.6413 0.9441 0.5113 Si
0.0063 0.5802 0.7489 B
0.0063 0.9198 0.2489 B
0.1572 0.7353 0.7116 B
0.1572 0.7647 0.2116 B
0.1771 0.6160 0.9723 B
0.1771 0.8840 0.4723 B
0.3422 0.1484 0.0287 B
0.3422 0.3516 0.5287 B
0.4625 0.5270 0.7422 B
0.4625 0.9730 0.2422 B
0.5375 0.0270 0.7578 B
0.5375 0.4730 0.2578 B
0.6578 0.6484 0.4713 B
0.6578 0.8516 0.9713 B
0.8229 0.1160 0.5277 B
0.8229 0.3840 0.0277 B
0.8428 0.2353 0.7884 B
0.8428 0.2647 0.2884 B
0.9937 0.0802 0.7511 B
0.9937 0.4198 0.2511 B
0.0353 0.5905 0.4035 H
0.0353 0.9095 0.9035 H
0.1652 0.0864 0.8206 H
0.1652 0.4136 0.3206 H
0.2799 0.1951 0.2157 H
0.2799 0.3049 0.7157 H
0.3268 0.0718 0.8047 H
0.3268 0.4282 0.3047 H
0.4867 0.2095 0.8489 H
0.4867 0.2905 0.3489 H
0.5133 0.7095 0.6511 H
0.5133 0.7905 0.1511 H
0.6732 0.5718 0.6953 H
0.6732 0.9282 0.1953 H
0.7201 0.6951 0.2843 H
0.7201 0.8049 0.7843 H
0.8348 0.5864 0.6794 H
0.8348 0.9136 0.1794 H
0.9647 0.0905 0.0965 H
0.9647 0.4095 0.5965 H
0.0022 0.0684 0.2071 O
0.0022 0.4316 0.7071 O
0.0617 0.5918 0.9195 O
0.0619 0.6666 0.6444 O
0.0619 0.8334 0.1444 O
0.0617 0.9082 0.4195 O
0.1013 0.1456 0.7718 O
0.1013 0.3544 0.2718 O
0.2085 0.6721 0.1351 O
0.2085 0.8279 0.6351 O
0.2135 0.7147 0.8679 O
0.2135 0.7853 0.3679 O
0.2314 0.0234 0.4720 O
0.2314 0.4766 0.9720 O
0.2530 0.1832 0.1000 O
0.2530 0.3168 0.6000 O
0.3001 0.0451 0.8973 O
0.3001 0.4549 0.3973 O
0.3746 0.2216 0.4474 O
0.3746 0.2784 0.9474 O
0.4015 0.5462 0.8650 O
0.4015 0.9538 0.3650 O
0.4196 0.0156 0.6762 O
0.4196 0.4844 0.1762 O
0.4387 0.0982 0.1440 O
0.4387 0.4018 0.6440 O
0.4442 0.6633 0.6468 O
0.4442 0.8367 0.1468 O
0.5558 0.1633 0.8532 O
0.5558 0.3367 0.3532 O
0.5613 0.5982 0.3560 O
0.5613 0.9018 0.8560 O
0.5804 0.5156 0.8238 O
0.5804 0.9844 0.3238 O
0.5985 0.0462 0.6350 O
0.5985 0.4538 0.1350 O
0.6254 0.7216 0.0526 O
0.6254 0.7784 0.5526 O
0.6999 0.5451 0.6027 O
0.6999 0.9549 0.1027 O
0.7470 0.6832 0.4000 O
0.7470 0.8168 0.9000 O
0.7686 0.5234 0.0280 O
0.7686 0.9766 0.5280 O
0.7865 0.2147 0.6321 O
0.7865 0.2853 0.1321 O
0.7915 0.1721 0.3649 O
0.7915 0.3279 0.8649 O
0.8987 0.6456 0.7282 O
0.8987 0.8544 0.2282 O
0.9383 0.0918 0.5805 O
0.9381 0.1666 0.8556 O
0.9381 0.3334 0.3556 O
0.9383 0.4082 0.0805 O
0.9978 0.5684 0.2929 O
0.9978 0.9316 0.7929 O

KCa4B3O9, optimized geometry, DFT PBE-GGA; total DFT energy (no corrections) = -242.40 eV/cell; symmetry = Ama2, No. 40; mass density = 3039 kg/m³; volume = 12.08 Å³/atom
1.0
10.7292 0.0000 0.0000
0.0000 5.8279 3.2842
0.0000 -5.8279 3.2842
K Ca B O
2 8 6 18
direct
0.2500 0.0803 0.9197 K
0.7500 0.9197 0.0803 K
0.0000 0.4674 0.4674 Ca
0.0295 0.8944 0.3207 Ca
0.2500 0.5856 0.8905 Ca
0.4705 0.8944 0.3207 Ca
0.5000 0.4674 0.4674 Ca
0.5295 0.3207 0.8944 Ca
0.7500 0.8905 0.5856 Ca
0.9705 0.3207 0.8944 Ca
0.0000 0.8951 0.8951 B
0.2500 0.1419 0.4916 B
0.2500 0.5643 0.3204 B
0.5000 0.8951 0.8951 B
0.7500 0.3204 0.5643 B
0.7500 0.4916 0.1419 B
0.0000 0.1050 0.1050 O
0.0283 0.6891 0.8902 O
0.1382 0.2294 0.6149 O
0.1378 0.5297 0.1966 O
0.2500 0.6166 0.5473 O
0.2500 0.9638 0.2614 O
0.3618 0.2294 0.6149 O
0.3622 0.5297 0.1966 O
0.4717 0.6891 0.8902 O
0.5000 0.1050 0.1050 O
0.5283 0.8902 0.6891 O
0.6378 0.1966 0.5297 O
0.6382 0.6149 0.2294 O
0.7500 0.2614 0.9638 O
0.7500 0.5473 0.6166 O
0.8622 0.1966 0.5297 O
0.8618 0.6149 0.2294 O
0.9717 0.8902 0.6891 O

CaLa2B10O19, optimized geometry, DFT PBE-GGA; total DFT energy (no corrections) = -260.35 eV/cell; symmetry = C2, No. 5; mass density = 3576 kg/m³; volume = 10.59 Å³/atom
1.0
5.5687 -3.3138 0.0000
5.5687 3.3138 0.0000
-0.2678 0.0000 9.1838
Ca La B O
1 2 10 19
direct
0.0000 0.0000 0.0000 Ca
0.0236 0.6517 0.3557 La
0.3483 0.9764 0.6443 La
0.0278 0.6261 0.7076 B
0.3739 0.9722 0.2924 B
0.4417 0.0234 0.0290 B
0.4725 0.4489 0.6610 B
0.5511 0.5275 0.3390 B
0.6330 0.1375 0.2300 B
0.8137 0.0527 0.6260 B
0.8625 0.3670 0.7700 B
0.9473 0.1863 0.3740 B
0.9766 0.5583 0.9710 B
0.0280 0.4033 0.6809 O
0.0418 0.6674 0.8644 O
0.1780 0.1767 0.3638 O
0.2405 0.6156 0.6336 O
0.3326 0.9582 0.1356 O
0.3835 0.0047 0.8889 O
0.3844 0.7595 0.3664 O
0.4696 0.3863 0.2779 O
0.5551 0.2216 0.6134 O
0.5935 0.1093 0.0731 O
0.5967 0.9720 0.3191 O
0.6137 0.5304 0.7221 O
0.7784 0.4449 0.3866 O
0.8233 0.8220 0.6362 O
0.8804 0.0869 0.2462 O
0.8907 0.4065 0.9269 O
0.9131 0.1196 0.7538 O
0.9534 0.0466 0.5000 O
0.9953 0.6165 0.1111 O

Ca3La3B5O15, optimized geometry, DFT PBE-GGA; total DFT energy (no corrections) = -414.40 eV/cell; symmetry = P6_3mc, No. 186; mass density = 4397 kg/m³; volume = 12.07 Å³/atom
1.0
10.6047 0.0000 0.0000
-5.3023 9.1839 0.0000
0.0000 0.0000 6.4446
Ca La B O
6 6 10 30
direct
0.0540 0.5270 0.0000 Ca
0.4730 0.5270 0.0000 Ca
0.4730 0.9460 0.0000 Ca
0.5270 0.0540 0.5000 Ca
0.5270 0.4730 0.5000 Ca
0.9460 0.4730 0.5000 Ca
0.1556 0.3112 0.3153 La
0.1556 0.8444 0.3153 La
0.3112 0.1556 0.8153 La
0.6888 0.8444 0.3153 La
0.8444 0.1556 0.8153 La
0.8444 0.6888 0.8153 La
0.0000 0.0000 0.4820 B
0.0000 0.0000 0.9820 B
0.1979 0.3959 0.7836 B
0.1979 0.8021 0.7836 B
0.3333 0.6667 0.3340 B
0.3959 0.1979 0.2836 B
0.6041 0.8021 0.7836 B
0.6667 0.3333 0.8340 B
0.8021 0.1979 0.2836 B
0.8021 0.6041 0.2836 B
0.0716 0.3718 0.6822 O
0.0716 0.6998 0.6822 O
0.0753 0.1506 0.9753 O
0.0753 0.9247 0.9753 O
0.1506 0.0753 0.4753 O
0.1809 0.5904 0.3333 O
0.2259 0.4519 0.9808 O
0.2259 0.7741 0.9808 O
0.3002 0.3718 0.6822 O
0.3002 0.9284 0.6822 O
0.3718 0.0716 0.1822 O
0.3718 0.3002 0.1822 O
0.4096 0.5904 0.3333 O
0.4096 0.8191 0.3333 O
0.4519 0.2259 0.4808 O
0.5481 0.7741 0.9808 O
0.5904 0.1809 0.8333 O
0.5904 0.4096 0.8333 O
0.6282 0.6998 0.6822 O
0.6282 0.9284 0.6822 O
0.6998 0.0716 0.1822 O
0.6998 0.6282 0.1822 O
0.7741 0.2259 0.4808 O
0.7741 0.5481 0.4808 O
0.8191 0.4096 0.8333 O
0.8494 0.9247 0.9753 O
0.9247 0.0753 0.4753 O
0.9247 0.8494 0.4753 O
0.9284 0.3002 0.1822 O
0.9284 0.6282 0.1822 O